Entry from Materials Project: an optimized crystal structure of CaAl2Si2Cl2O8 (PBE).

Computed properties:
Crystal system = trigonal
Symmetry = R3m
ΔE_f = -2.75 eV/atom

a = 9.5688 Å, b = 9.5688 Å, c = 9.5688 Å
α = 95.54°, β = 95.54°, γ = 95.54°
Element x y z (fractional)
Ca 0.0000 0.0000 0.0000
Ca 0.2147 0.2147 0.2147
Ca 0.4648 0.4648 0.4648
Al 0.1165 0.3357 0.8973
Al 0.1165 0.8973 0.3357
Al 0.3357 0.1165 0.8973
Al 0.3357 0.8973 0.1165
Al 0.8973 0.1165 0.3357
Al 0.8973 0.3357 0.1165
Si 0.1285 0.3407 0.5541
Si 0.1285 0.5541 0.3407
Si 0.3407 0.1285 0.5541
Si 0.3407 0.5541 0.1285
Si 0.5541 0.1285 0.3407
Si 0.5541 0.3407 0.1285
Cl 0.4869 0.6852 0.6852
Cl 0.6852 0.4869 0.6852
Cl 0.6852 0.6852 0.4869
Cl 0.7760 0.7760 0.9688
Cl 0.7760 0.9688 0.7760
Cl 0.9688 0.7760 0.7760
O 0.0098 0.2315 0.4611
O 0.0098 0.4611 0.2315
O 0.1259 0.3521 0.7204
O 0.1259 0.7204 0.3521
O 0.1399 0.4992 0.4992
O 0.1729 0.1729 0.9559
O 0.1729 0.9559 0.1729
O 0.2315 0.0098 0.4611
O 0.2315 0.4611 0.0098
O 0.2868 0.2868 0.5105
O 0.2868 0.5105 0.2868
O 0.3218 0.9446 0.9446
O 0.3521 0.1259 0.7204
O 0.3521 0.7204 0.1259
O 0.4611 0.0098 0.2315
O 0.4611 0.2315 0.0098
O 0.4992 0.1399 0.4992
O 0.4992 0.4992 0.1399
O 0.5105 0.2868 0.2868
O 0.7204 0.1259 0.3521
O 0.7204 0.3521 0.1259
O 0.9446 0.3218 0.9446
O 0.9446 0.9446 0.3218
O 0.9559 0.1729 0.1729